[1]
Computed, not measured: a relaxed NaCaTa3Si3S3O24 crystal at the PBE level of DFT.

Calculated values
ΔE_f, eV per formula unit: -96.32
Space group: P1 (1)
VASP energy, eV for the cell shown: -798.5

a b c (Å): 8.938 8.940 23.250
angles (deg): 90.07 89.73 119.99
Atoms (fractional coordinates):
Na: 0.996 0.001 0.993
Na: 0.690 0.341 0.840
Na: 0.653 0.333 0.338
Ca: 0.992 0.000 0.854
Ca: 0.681 0.343 0.978
Ca: 0.654 0.330 0.478
Ta: 0.010 0.010 0.353
Ta: 0.996 0.985 0.650
Ta: 0.001 0.993 0.151
Ta: 0.661 0.316 0.686
Ta: 0.680 0.343 0.190
Ta: 0.319 0.654 0.022
Ta: 0.330 0.663 0.522
Ta: 0.334 0.657 0.305
Ta: 0.322 0.666 0.808
Si: 0.291 0.003 0.251
Si: 0.720 0.715 0.252
Si: 0.997 0.281 0.250
Si: 0.989 0.699 0.751
Si: 0.709 0.995 0.752
Si: 0.369 0.040 0.582
Si: 0.959 0.631 0.083
Si: 0.044 0.372 0.915
Si: 0.332 0.381 0.414
S: 0.296 0.294 0.748
S: 0.962 0.331 0.584
S: 0.666 0.630 0.584
S: 0.669 0.039 0.085
S: 0.372 0.332 0.085
S: 0.609 0.666 0.917
S: 0.333 0.943 0.917
S: 0.618 0.942 0.414
S: 0.057 0.674 0.415
O: 0.197 0.036 0.307
O: 0.840 0.804 0.308
O: 0.964 0.159 0.307
O: 0.239 0.192 0.800
O: 0.949 0.765 0.808
O: 0.824 0.061 0.806
O: 0.808 0.977 0.694
O: 0.182 0.209 0.697
O: 0.023 0.829 0.695
O: 0.807 0.833 0.195
O: 0.029 0.196 0.193
O: 0.166 0.972 0.196
O: 0.877 0.366 0.634
O: 0.498 0.139 0.637
O: 0.633 0.518 0.634
O: 0.859 0.501 0.140
O: 0.640 0.125 0.137
O: 0.483 0.357 0.136
O: 0.435 0.294 0.032
O: 0.846 0.565 0.028
O: 0.703 0.142 0.034
O: 0.440 0.149 0.526
O: 0.708 0.569 0.532
O: 0.862 0.299 0.532
O: 0.518 0.677 0.971
O: 0.165 0.493 0.973
O: 0.329 0.842 0.970
O: 0.530 0.839 0.468
O: 0.310 0.481 0.473
O: 0.162 0.696 0.469
O: 0.148 0.659 0.364
O: 0.508 0.857 0.364
O: 0.338 0.505 0.361
O: 0.164 0.498 0.860
O: 0.348 0.855 0.863
O: 0.511 0.663 0.865
O: 0.044 0.833 0.409
O: 0.786 0.947 0.409
O: 0.151 0.193 0.405
O: 0.051 0.200 0.924
O: 0.173 0.947 0.917
O: 0.778 0.820 0.918
O: 0.993 0.189 0.598
O: 0.180 0.015 0.601
O: 0.815 0.808 0.596
O: 0.995 0.828 0.098
O: 0.823 0.019 0.096
O: 0.193 0.186 0.096
O: 0.673 0.159 0.734
O: 0.475 0.325 0.734
O: 0.831 0.512 0.729
O: 0.691 0.521 0.240
O: 0.826 0.302 0.240
O: 0.479 0.171 0.237
O: 0.610 0.503 0.917
O: 0.867 0.372 0.911
O: 0.489 0.112 0.919
O: 0.643 0.116 0.418
O: 0.500 0.365 0.411
O: 0.889 0.520 0.420
O: 0.360 0.494 0.078
O: 0.155 0.654 0.074
O: 0.515 0.864 0.078
O: 0.347 0.844 0.570
O: 0.510 0.651 0.574
O: 0.137 0.494 0.576
O: 0.310 0.837 0.266
O: 0.529 0.694 0.262
O: 0.160 0.474 0.261
O: 0.316 0.468 0.755
O: 0.166 0.681 0.758
O: 0.518 0.825 0.761


[2]
Computed, not measured: a relaxed Na4Ca2Ta2Si3S3O24 crystal at the PBE level of DFT.

Calculated values
ΔE_f, eV per formula unit: -100.25
Space group: P1 (1)
VASP energy, eV for the cell shown: -792.6

a b c (Å): 9.222 9.196 22.962
angles (deg): 90.01 89.94 120.10
Atoms (fractional coordinates):
Na: 0.362 0.334 0.242
Na: 0.654 0.634 0.744
Na: 0.014 0.662 0.597
Na: 0.340 0.977 0.076
Na: 0.690 0.015 0.904
Na: 0.002 0.308 0.427
Na: 0.026 0.028 0.504
Na: 0.020 0.001 0.990
Na: 0.692 0.335 0.820
Na: 0.632 0.302 0.332
Na: 0.361 0.666 0.152
Na: 0.335 0.633 0.655
Ca: 0.004 0.995 0.353
Ca: 0.009 0.004 0.852
Ca: 0.664 0.324 0.687
Ca: 0.669 0.330 0.186
Ca: 0.334 0.659 0.018
Ca: 0.346 0.666 0.520
Ta: 0.980 0.997 0.651
Ta: 0.014 0.000 0.142
Ta: 0.654 0.316 0.983
Ta: 0.662 0.344 0.488
Ta: 0.342 0.668 0.314
Ta: 0.323 0.681 0.811
Si: 0.293 0.989 0.251
Si: 0.002 0.713 0.750
Si: 0.695 0.995 0.758
Si: 0.958 0.325 0.582
Si: 0.673 0.645 0.592
Si: 0.678 0.038 0.086
Si: 0.372 0.334 0.089
Si: 0.333 0.966 0.922
Si: 0.344 0.372 0.417
S: 0.698 0.713 0.251
S: 0.017 0.300 0.251
S: 0.283 0.303 0.750
S: 0.361 0.047 0.582
S: 0.953 0.633 0.084
S: 0.624 0.649 0.916
S: 0.028 0.381 0.917
S: 0.620 0.970 0.414
S: 0.035 0.650 0.416
O: 0.197 0.015 0.303
O: 0.783 0.790 0.305
O: 0.989 0.209 0.306
O: 0.213 0.212 0.803
O: 0.986 0.803 0.805
O: 0.791 0.011 0.817
O: 0.807 0.969 0.700
O: 0.175 0.212 0.697
O: 0.037 0.840 0.690
O: 0.784 0.816 0.199
O: 0.040 0.205 0.201
O: 0.166 0.965 0.191
O: 0.860 0.350 0.633
O: 0.455 0.113 0.635
O: 0.652 0.542 0.649
O: 0.883 0.545 0.138
O: 0.648 0.131 0.138
O: 0.461 0.350 0.149
O: 0.483 0.305 0.032
O: 0.849 0.548 0.031
O: 0.705 0.169 0.025
O: 0.466 0.163 0.529
O: 0.696 0.525 0.533
O: 0.832 0.299 0.519
O: 0.537 0.665 0.967
O: 0.122 0.454 0.969
O: 0.331 0.875 0.981
O: 0.543 0.881 0.466
O: 0.310 0.466 0.468
O: 0.127 0.678 0.470
O: 0.137 0.633 0.365
O: 0.509 0.866 0.361
O: 0.367 0.498 0.355
O: 0.123 0.483 0.863
O: 0.358 0.852 0.865
O: 0.522 0.624 0.862
O: 0.995 0.782 0.406
O: 0.790 0.996 0.407
O: 0.178 0.189 0.413
O: 0.989 0.205 0.912
O: 0.191 0.012 0.916
O: 0.790 0.802 0.914
O: 0.975 0.153 0.592
O: 0.202 0.051 0.581
O: 0.865 0.822 0.591
O: 0.956 0.804 0.087
O: 0.855 0.031 0.096
O: 0.188 0.138 0.090
O: 0.640 0.130 0.749
O: 0.455 0.336 0.742
O: 0.845 0.527 0.745
O: 0.663 0.539 0.247
O: 0.887 0.343 0.241
O: 0.478 0.150 0.249
O: 0.645 0.496 0.924
O: 0.862 0.380 0.919
O: 0.526 0.154 0.924
O: 0.628 0.137 0.411
O: 0.523 0.363 0.425
O: 0.872 0.480 0.417
O: 0.317 0.468 0.079
O: 0.129 0.676 0.078
O: 0.519 0.855 0.078
O: 0.327 0.877 0.570
O: 0.535 0.695 0.582
O: 0.136 0.494 0.576
O: 0.301 0.809 0.261
O: 0.522 0.702 0.253
O: 0.187 0.466 0.254
O: 0.290 0.472 0.753
O: 0.180 0.697 0.759
O: 0.515 0.799 0.762